No. 1
Computed, not measured: a relaxed structure of ErMgHg2 at the r²SCAN level of DFT.

The structure in CIF format:
```
data_ErMgHg2
_chemical_formula_sum 'Er4 Mg4 Hg8'
_cell_length_a 7.0691
_cell_length_b 7.0691
_cell_length_c 7.0691
_cell_angle_alpha 90.00
_cell_angle_beta 90.00
_cell_angle_gamma 90.00
_symmetry_space_group_name_H-M 'P 1'
_symmetry_Int_Tables_number 1
loop_
_symmetry_equiv_pos_as_xyz
'x,y,z'
loop_
_atom_site_label
_atom_site_type_symbol
_atom_site_fract_x
_atom_site_fract_y
_atom_site_fract_z
Er1 Er 0.0000 0.0000 0.0000
Er2 Er 0.0000 0.5000 0.5000
Er3 Er 0.5000 0.0000 0.5000
Er4 Er 0.5000 0.5000 0.0000
Mg1 Mg 0.0000 0.0000 0.5000
Mg2 Mg 0.0000 0.5000 0.0000
Mg3 Mg 0.5000 0.0000 0.0000
Mg4 Mg 0.5000 0.5000 0.5000
Hg1 Hg 0.2500 0.2500 0.2500
Hg2 Hg 0.2500 0.2500 0.7500
Hg3 Hg 0.2500 0.7500 0.2500
Hg4 Hg 0.2500 0.7500 0.7500
Hg5 Hg 0.7500 0.2500 0.2500
Hg6 Hg 0.7500 0.2500 0.7500
Hg7 Hg 0.7500 0.7500 0.2500
Hg8 Hg 0.7500 0.7500 0.7500
```

## Properties
The volume comes out at 22.079 Å³/atom. The total energy is -138.81 eV per formula unit.

=====

No. 2
Computed, not measured: a relaxed structure of Nd3Ge2Ru2 at the r²SCAN level of DFT.

The structure in CIF format:
```
data_Nd3Ge2Ru2
_chemical_formula_sum 'Nd12 Ge8 Ru8'
_cell_length_a 5.7175
_cell_length_b 7.9421
_cell_length_c 13.6853
_cell_angle_alpha 90.00
_cell_angle_beta 90.00
_cell_angle_gamma 90.00
_symmetry_space_group_name_H-M 'P 1'
_symmetry_Int_Tables_number 1
loop_
_symmetry_equiv_pos_as_xyz
'x,y,z'
loop_
_atom_site_label
_atom_site_type_symbol
_atom_site_fract_x
_atom_site_fract_y
_atom_site_fract_z
Nd1 Nd 0.1283 0.2362 0.2500
Nd2 Nd 0.1283 0.2638 0.7500
Nd3 Nd 0.3487 0.5968 0.0985
Nd4 Nd 0.3487 0.5968 0.4015
Nd5 Nd 0.3487 0.9032 0.5985
Nd6 Nd 0.3487 0.9032 0.9015
Nd7 Nd 0.6513 0.0968 0.0985
Nd8 Nd 0.6513 0.0968 0.4015
Nd9 Nd 0.6513 0.4032 0.5985
Nd10 Nd 0.6513 0.4032 0.9015
Nd11 Nd 0.8717 0.7362 0.2500
Nd12 Nd 0.8717 0.7638 0.7500
Ge1 Ge 0.1127 0.2500 0.0000
Ge2 Ge 0.1127 0.2500 0.5000
Ge3 Ge 0.3631 0.6118 0.7500
Ge4 Ge 0.3631 0.8882 0.2500
Ge5 Ge 0.6369 0.1118 0.7500
Ge6 Ge 0.6369 0.3882 0.2500
Ge7 Ge 0.8873 0.7500 0.0000
Ge8 Ge 0.8873 0.7500 0.5000
Ru1 Ru 0.1475 0.5297 0.5898
Ru2 Ru 0.1475 0.5297 0.9102
Ru3 Ru 0.1475 0.9703 0.0898
Ru4 Ru 0.1475 0.9703 0.4102
Ru5 Ru 0.8525 0.0297 0.5898
Ru6 Ru 0.8525 0.0297 0.9102
Ru7 Ru 0.8525 0.4703 0.0898
Ru8 Ru 0.8525 0.4703 0.4102
```

## Properties
The volume comes out at 22.194 Å³/atom. The total energy is -171.61 eV per formula unit.

=====

No. 3
Computed, not measured: a relaxed structure of MgV3O8 at the r²SCAN level of DFT.

The structure in CIF format:
```
data_MgV3O8
_chemical_formula_sum 'Mg2 V6 O16'
_cell_length_a 6.7355
_cell_length_b 6.7355
_cell_length_c 7.6780
_cell_angle_alpha 112.55
_cell_angle_beta 112.55
_cell_angle_gamma 79.50
_symmetry_space_group_name_H-M 'P 1'
_symmetry_Int_Tables_number 1
loop_
_symmetry_equiv_pos_as_xyz
'x,y,z'
loop_
_atom_site_label
_atom_site_type_symbol
_atom_site_fract_x
_atom_site_fract_y
_atom_site_fract_z
Mg1 Mg 0.1184 0.1184 0.2999
Mg2 Mg 0.8816 0.8816 0.7001
V1 V 0.1898 0.5636 0.2197
V2 V 0.4364 0.8102 0.7803
V3 V 0.5345 0.2621 0.7292
V4 V 0.6262 0.0091 0.2959
V5 V 0.7379 0.4655 0.2708
V6 V 0.9909 0.3738 0.7041
O1 O 0.0118 0.9882 0.0000
O2 O 0.0422 0.4263 0.2798
O3 O 0.0878 0.5237 0.9545
O4 O 0.1630 0.8250 0.3215
O5 O 0.1750 0.8370 0.6785
O6 O 0.2131 0.2555 0.6398
O7 O 0.4466 0.1410 0.4168
O8 O 0.4522 0.4807 0.2807
O9 O 0.4763 0.9122 0.0455
O10 O 0.5193 0.5478 0.7193
O11 O 0.5737 0.9578 0.7202
O12 O 0.6295 0.3705 0.0000
O13 O 0.7445 0.7869 0.3602
O14 O 0.8080 0.1772 0.3121
O15 O 0.8228 0.1920 0.6879
O16 O 0.8590 0.5534 0.5832
```

## Properties
The volume comes out at 12.368 Å³/atom. The total energy is -124.44 eV per formula unit.

=====

No. 4
Computed, not measured: a relaxed structure of ThSnAu2 at the r²SCAN level of DFT.

The structure in CIF format:
```
data_ThSnAu2
_chemical_formula_sum 'Th4 Sn4 Au8'
_cell_length_a 7.1709
_cell_length_b 7.1709
_cell_length_c 7.1709
_cell_angle_alpha 90.00
_cell_angle_beta 90.00
_cell_angle_gamma 90.00
_symmetry_space_group_name_H-M 'P 1'
_symmetry_Int_Tables_number 1
loop_
_symmetry_equiv_pos_as_xyz
'x,y,z'
loop_
_atom_site_label
_atom_site_type_symbol
_atom_site_fract_x
_atom_site_fract_y
_atom_site_fract_z
Th1 Th 0.0000 0.0000 0.0000
Th2 Th 0.0000 0.5000 0.5000
Th3 Th 0.5000 0.0000 0.5000
Th4 Th 0.5000 0.5000 0.0000
Sn1 Sn 0.0000 0.0000 0.5000
Sn2 Sn 0.0000 0.5000 0.0000
Sn3 Sn 0.5000 0.0000 0.0000
Sn4 Sn 0.5000 0.5000 0.5000
Au1 Au 0.2500 0.2500 0.2500
Au2 Au 0.2500 0.2500 0.7500
Au3 Au 0.2500 0.7500 0.2500
Au4 Au 0.2500 0.7500 0.7500
Au5 Au 0.7500 0.2500 0.2500
Au6 Au 0.7500 0.2500 0.7500
Au7 Au 0.7500 0.7500 0.2500
Au8 Au 0.7500 0.7500 0.7500
```

## Properties
The volume comes out at 23.046 Å³/atom. The total energy is -202.05 eV per formula unit.

=====

No. 5
Computed, not measured: a relaxed structure of HfGePd at the r²SCAN level of DFT.

The structure in CIF format:
```
data_HfGePd
_chemical_formula_sum 'Hf6 Ge6 Pd6'
_cell_length_a 6.6689
_cell_length_b 3.9368
_cell_length_c 11.4559
_cell_angle_alpha 90.00
_cell_angle_beta 90.08
_cell_angle_gamma 90.00
_symmetry_space_group_name_H-M 'P 1'
_symmetry_Int_Tables_number 1
loop_
_symmetry_equiv_pos_as_xyz
'x,y,z'
loop_
_atom_site_label
_atom_site_type_symbol
_atom_site_fract_x
_atom_site_fract_y
_atom_site_fract_z
Hf1 Hf 0.0304 0.2500 0.2078
Hf2 Hf 0.3381 0.7500 0.5792
Hf3 Hf 0.4673 0.7500 0.8780
Hf4 Hf 0.5327 0.2500 0.1220
Hf5 Hf 0.6619 0.2500 0.4208
Hf6 Hf 0.9696 0.7500 0.7922
Ge1 Ge 0.2508 0.7500 0.0843
Ge2 Ge 0.2517 0.2500 0.4160
Ge3 Ge 0.2620 0.2500 0.7500
Ge4 Ge 0.7380 0.7500 0.2500
Ge5 Ge 0.7483 0.7500 0.5840
Ge6 Ge 0.7492 0.2500 0.9157
Pd1 Pd 0.0033 0.2500 0.5914
Pd2 Pd 0.1418 0.2500 0.9583
Pd3 Pd 0.3722 0.7500 0.2940
Pd4 Pd 0.6278 0.2500 0.7060
Pd5 Pd 0.8582 0.7500 0.0417
Pd6 Pd 0.9967 0.7500 0.4086
```

## Properties
The volume comes out at 16.709 Å³/atom. The total energy is -84.58 eV per formula unit.

=====

No. 6
Computed, not measured: a relaxed structure of PtPb2 at the r²SCAN level of DFT.

The structure in CIF format:
```
data_PtPb2
_chemical_formula_sum 'Pt4 Pb8'
_cell_length_a 7.0218
_cell_length_b 7.0218
_cell_length_c 5.8120
_cell_angle_alpha 90.00
_cell_angle_beta 90.00
_cell_angle_gamma 90.00
_symmetry_space_group_name_H-M 'P 1'
_symmetry_Int_Tables_number 1
loop_
_symmetry_equiv_pos_as_xyz
'x,y,z'
loop_
_atom_site_label
_atom_site_type_symbol
_atom_site_fract_x
_atom_site_fract_y
_atom_site_fract_z
Pt1 Pt 0.0000 0.0000 0.2500
Pt2 Pt 0.0000 0.0000 0.7500
Pt3 Pt 0.5000 0.5000 0.2500
Pt4 Pt 0.5000 0.5000 0.7500
Pb1 Pb 0.1607 0.3393 0.0000
Pb2 Pb 0.1607 0.6607 0.5000
Pb3 Pb 0.3393 0.1607 0.5000
Pb4 Pb 0.3393 0.8393 0.0000
Pb5 Pb 0.6607 0.1607 0.0000
Pb6 Pb 0.6607 0.8393 0.5000
Pb7 Pb 0.8393 0.3393 0.5000
Pb8 Pb 0.8393 0.6607 0.0000
```

## Properties
The volume comes out at 23.880 Å³/atom. The total energy is -164.57 eV per formula unit.

=====

No. 7
Computed, not measured: a relaxed structure of Bi12PO20 at the r²SCAN level of DFT.

The structure in CIF format:
```
data_Bi12PO20
_chemical_formula_sum 'Bi12 P1 O20'
_cell_length_a 8.8193
_cell_length_b 8.8193
_cell_length_c 8.8193
_cell_angle_alpha 109.47
_cell_angle_beta 109.47
_cell_angle_gamma 109.47
_symmetry_space_group_name_H-M 'P 1'
_symmetry_Int_Tables_number 1
loop_
_symmetry_equiv_pos_as_xyz
'x,y,z'
loop_
_atom_site_label
_atom_site_type_symbol
_atom_site_fract_x
_atom_site_fract_y
_atom_site_fract_z
Bi1 Bi 0.1483 0.8466 0.3458
Bi2 Bi 0.1534 0.3018 0.4992
Bi3 Bi 0.1974 0.6982 0.8517
Bi4 Bi 0.3018 0.4992 0.1534
Bi5 Bi 0.3458 0.1483 0.8466
Bi6 Bi 0.4992 0.1534 0.3018
Bi7 Bi 0.5008 0.8026 0.6542
Bi8 Bi 0.6542 0.5008 0.8026
Bi9 Bi 0.6982 0.8517 0.1974
Bi10 Bi 0.8026 0.6542 0.5008
Bi11 Bi 0.8466 0.3458 0.1483
Bi12 Bi 0.8517 0.1974 0.6982
P1 P 0.0000 0.0000 0.0000
O1 O 0.0000 0.0000 0.4031
O2 O 0.0000 0.0000 0.8241
O3 O 0.0000 0.4031 0.0000
O4 O 0.0000 0.8241 0.0000
O5 O 0.1197 0.3602 0.7440
O6 O 0.1759 0.1759 0.1759
O7 O 0.2405 0.8803 0.6243
O8 O 0.2560 0.6162 0.3757
O9 O 0.3602 0.7440 0.1197
O10 O 0.3757 0.2560 0.6162
O11 O 0.3838 0.6398 0.7595
O12 O 0.4031 0.0000 0.0000
O13 O 0.5969 0.5969 0.5969
O14 O 0.6162 0.3757 0.2560
O15 O 0.6243 0.2405 0.8803
O16 O 0.6398 0.7595 0.3838
O17 O 0.7440 0.1197 0.3602
O18 O 0.7595 0.3838 0.6398
O19 O 0.8241 0.0000 0.0000
O20 O 0.8803 0.6243 0.2405
```

## Properties
The volume comes out at 16.002 Å³/atom. The total energy is -878.12 eV per formula unit.

=====

No. 8
Computed, not measured: a relaxed structure of Rh2O3 at the r²SCAN level of DFT.

The structure in CIF format:
```
data_Rh2O3
_chemical_formula_sum 'Rh4 O6'
_cell_length_a 5.4997
_cell_length_b 5.4997
_cell_length_c 5.4997
_cell_angle_alpha 55.76
_cell_angle_beta 55.76
_cell_angle_gamma 55.76
_symmetry_space_group_name_H-M 'P 1'
_symmetry_Int_Tables_number 1
loop_
_symmetry_equiv_pos_as_xyz
'x,y,z'
loop_
_atom_site_label
_atom_site_type_symbol
_atom_site_fract_x
_atom_site_fract_y
_atom_site_fract_z
Rh1 Rh 0.1508 0.1508 0.1508
Rh2 Rh 0.3492 0.3492 0.3492
Rh3 Rh 0.6508 0.6508 0.6508
Rh4 Rh 0.8492 0.8492 0.8492
O1 O 0.0499 0.7500 0.4501
O2 O 0.2500 0.5499 0.9501
O3 O 0.4501 0.0499 0.7500
O4 O 0.5499 0.9501 0.2500
O5 O 0.7500 0.4501 0.0499
O6 O 0.9501 0.2500 0.5499
```

## Properties
The volume comes out at 10.605 Å³/atom. The total energy is -70.71 eV per formula unit.